## V2O5 (GGA+U)

Data for an optimized crystal structure of V2O5.

Values from the calculation:
As for the uncorrected energy: -767.04 eV per cell. The value obtained for the formation energy is -1.776 eV/atom. The calculated density comes out at 2.37 g cm⁻³. For the volume, the calculation gives 1911 Å³/cell.

Geometry as CIF:
```
data_V2O5
_space_group_name_H-M_alt 'P 1'
_space_group_IT_number 1
_cell_length_a 11.4462
_cell_length_b 12.7199
_cell_length_c 13.3346
_cell_angle_alpha 81.05
_cell_angle_beta 85.37
_cell_angle_gamma 88.65
loop_
_space_group_symop_operation_xyz
'x,y,z'
loop_
_atom_site_label
_atom_site_type_symbol
_atom_site_fract_x
_atom_site_fract_y
_atom_site_fract_z
_atom_site_occupancy
V1 V 0.0000 0.0000 0.0000 1
V2 V 0.0051 0.7772 0.8921 1
V3 V 0.0315 0.2361 0.8470 1
V4 V 0.0338 0.3437 0.5804 1
V5 V 0.0470 0.5051 0.3474 1
V6 V 0.0534 0.9022 0.3840 1
V7 V 0.1862 0.3160 0.0326 1
V8 V 0.2140 0.5170 0.6752 1
V9 V 0.2395 0.1827 0.5184 1
V10 V 0.2520 0.7333 0.0302 1
V11 V 0.3219 0.4515 0.4282 1
V12 V 0.3218 0.9258 0.4713 1
V13 V 0.4201 0.9112 0.9574 1
V14 V 0.4280 0.6599 0.5198 1
V15 V 0.4648 0.4243 0.8026 1
V16 V 0.4840 0.9911 0.5768 1
V17 V 0.5990 0.2595 0.2374 1
V18 V 0.6040 0.5620 0.9268 1
V19 V 0.6321 0.9910 0.8750 1
V20 V 0.6543 0.6183 0.6848 1
V21 V 0.6564 0.1612 0.6299 1
V22 V 0.7380 0.0979 0.0845 1
V23 V 0.7450 0.4186 0.6500 1
V24 V 0.7750 0.3578 0.0511 1
V25 V 0.8010 0.1824 0.4002 1
V26 V 0.8170 0.9456 0.2948 1
V27 V 0.8388 0.8037 0.5228 1
V28 V 0.8888 0.9379 0.7251 1
V29 V 0.9418 0.5953 0.7530 1
V30 V 0.9940 0.4013 0.1231 1
O1 O 0.0033 0.4606 0.2319 1
O2 O 0.0093 0.0018 0.4403 1
O3 O 0.0189 0.8659 0.7752 1
O4 O 0.0222 0.0894 0.8841 1
O5 O 0.0724 0.5165 0.7570 1
O6 O 0.0821 0.2751 0.7254 1
O7 O 0.0850 0.2224 0.5421 1
O8 O 0.0847 0.2711 0.1369 1
O9 O 0.1182 0.4465 0.0333 1
O10 O 0.1219 0.9917 0.0533 1
O11 O 0.1370 0.7289 0.9218 1
O12 O 0.1394 0.4437 0.5874 1
O13 O 0.1521 0.2623 0.9201 1
O14 O 0.1589 0.7320 0.1303 1
O15 O 0.2023 0.5097 0.3562 1
O16 O 0.2052 0.8988 0.3807 1
O17 O 0.2395 0.6439 0.6587 1
O18 O 0.2553 0.0746 0.4524 1
O19 O 0.2929 0.1446 0.6279 1
O20 O 0.3058 0.8678 0.9060 1
O21 O 0.3066 0.3102 0.4638 1
O22 O 0.3128 0.6160 0.0333 1
O23 O 0.3225 0.4456 0.7479 1
O24 O 0.3232 0.3046 0.0564 1
O25 O 0.3279 0.9339 0.5999 1
O26 O 0.3432 0.5301 0.5321 1
O27 O 0.3457 0.7807 0.4890 1
O28 O 0.3738 0.9095 0.0918 1
O29 O 0.3980 0.7984 0.0776 1
O30 O 0.4382 0.4693 0.3528 1
O31 O 0.4609 0.2679 0.2669 1
O32 O 0.4633 0.9703 0.4371 1
O33 O 0.4700 0.4951 0.9072 1
O34 O 0.4806 0.0395 0.9005 1
O35 O 0.4842 0.2991 0.8393 1
O36 O 0.5136 0.6563 0.6259 1
O37 O 0.5202 0.6570 0.4230 1
O38 O 0.5337 0.1346 0.5707 1
O39 O 0.5685 0.8627 0.9123 1
O40 O 0.5861 0.9084 0.6192 1
O41 O 0.5876 0.6259 0.0217 1
O42 O 0.5970 0.4713 0.7227 1
O43 O 0.6313 0.1416 0.1796 1
O44 O 0.6379 0.6584 0.8042 1
O45 O 0.6464 0.3669 0.1381 1
O46 O 0.6497 0.0814 0.7511 1
O47 O 0.6558 0.2902 0.6462 1
O48 O 0.6795 0.2576 0.3509 1
O49 O 0.6921 0.0296 0.9780 1
O50 O 0.7098 0.4619 0.9473 1
O51 O 0.7258 0.4931 0.5416 1
O52 O 0.7379 0.9471 0.1945 1
O53 O 0.7391 0.2361 0.0107 1
O54 O 0.7501 0.7006 0.5760 1
O55 O 0.7660 0.8611 0.4112 1
O56 O 0.7735 0.9207 0.8185 1
O57 O 0.7749 0.1429 0.5371 1
O58 O 0.8097 0.0740 0.3262 1
O59 O 0.8112 0.5329 0.7209 1
O60 O 0.8448 0.8935 0.6075 1
O61 O 0.8691 0.2981 0.1451 1
O62 O 0.8736 0.2679 0.8409 1
O63 O 0.8890 0.4701 0.0473 1
O64 O 0.8935 0.0672 0.0763 1
O65 O 0.8930 0.3446 0.6344 1
O66 O 0.9180 0.0627 0.6970 1
O67 O 0.9192 0.2496 0.3735 1
O68 O 0.9215 0.6687 0.8626 1
O69 O 0.9251 0.3366 0.9020 1
O70 O 0.9563 0.8650 0.9789 1
O71 O 0.9657 0.6911 0.6575 1
O72 O 0.9676 0.9141 0.2694 1
O73 O 0.9827 0.7870 0.4656 1
O74 O 0.9868 0.6196 0.3567 1
O75 O 0.9971 0.4137 0.4555 1
```

## VO2 (GGA+U)

Data for an optimized crystal structure of VO2.

Values from the calculation:
As for the uncorrected energy: -742.58 eV per cell. The value obtained for the formation energy is -2.433 eV/atom. The calculated density comes out at 4.58 g cm⁻³. For the volume, the calculation gives 962 Å³/cell.

Geometry as CIF:
```
data_VO2
_space_group_name_H-M_alt 'F m m m'
_space_group_IT_number 69
_space_group_name_Hall '-F 2 2'
_cell_length_a 5.6930
_cell_length_b 12.9941
_cell_length_c 12.9982
_cell_angle_alpha 90.00
_cell_angle_beta 90.00
_cell_angle_gamma 90.00
loop_
_atom_site_label
_atom_site_type_symbol
_atom_site_fract_x
_atom_site_fract_y
_atom_site_fract_z
_atom_site_occupancy
V1 V 0.0000 0.0000 0.2457 1
V2 V 0.0000 0.2479 0.0000 1
V3 V 0.2411 0.0000 0.5000 1
V4 V 0.2500 0.2500 0.2500 1
O1 O 0.0000 0.0000 0.0984 1
O2 O 0.0000 0.0000 0.3979 1
O3 O 0.0000 0.2495 0.1498 1
O4 O 0.2487 0.1498 0.5000 1
O5 O 0.2500 0.1001 0.2500 1
```

## VO2 (GGA+U)

Data for an optimized crystal structure of VO2.

Values from the calculation:
As for the uncorrected energy: -182.90 eV per cell. The value obtained for the formation energy is -2.319 eV/atom. The calculated density comes out at 3.74 g cm⁻³. For the volume, the calculation gives 295 Å³/cell.

Geometry as CIF:
```
data_VO2
_space_group_name_H-M_alt 'I 41/a'
_space_group_IT_number 88
_cell_length_a 6.0099
_cell_length_b 6.0099
_cell_length_c 8.1548
_cell_angle_alpha 90.00
_cell_angle_beta 90.00
_cell_angle_gamma 90.00
loop_
_space_group_symop_operation_xyz
'x,y,z'
'-x,-y,-z'
'-y+3/4,x+1/4,z+1/4'
'y+3/4,-x+1/4,-z+1/4'
'-x+1/2,-y,z+1/2'
'x+1/2,y,-z+1/2'
'y+3/4,-x+3/4,z+3/4'
'-y+3/4,x+3/4,-z+3/4'
'x+1/2,y+1/2,z+1/2'
'-x+1/2,-y+1/2,-z+1/2'
'-y+1/4,x+3/4,z+3/4'
'y+1/4,-x+3/4,-z+3/4'
'-x,-y+1/2,z'
'x,y+1/2,-z'
'y+1/4,-x+1/4,z+1/4'
'-y+1/4,x+1/4,-z+1/4'
loop_
_atom_site_label
_atom_site_type_symbol
_atom_site_fract_x
_atom_site_fract_y
_atom_site_fract_z
_atom_site_occupancy
V1 V 0.0000 0.0000 0.0000 1
O1 O 0.0006 0.0292 0.2319 1
```

## VO2 (GGA+U)

Data for an optimized crystal structure of VO2.

Values from the calculation:
As for the uncorrected energy: -184.76 eV per cell. The value obtained for the formation energy is -2.396 eV/atom. The calculated density comes out at 3.88 g cm⁻³. For the volume, the calculation gives 284 Å³/cell.

Geometry as CIF:
```
data_VO2
_space_group_name_H-M_alt 'I 4/m'
_space_group_IT_number 87
_space_group_name_Hall '-I 4'
_cell_length_a 8.5811
_cell_length_b 8.5811
_cell_length_c 3.8521
_cell_angle_alpha 90.00
_cell_angle_beta 90.00
_cell_angle_gamma 90.00
loop_
_atom_site_label
_atom_site_type_symbol
_atom_site_fract_x
_atom_site_fract_y
_atom_site_fract_z
_atom_site_occupancy
V1 V 0.0028 0.7036 0.0000 1
O1 O 0.0014 0.6491 0.5000 1
O2 O 0.1552 0.1577 0.0000 1
```

## V4O7 (GGA+U)

Data for an optimized crystal structure of V4O7.

Values from the calculation:
As for the uncorrected energy: -169.50 eV per cell. The value obtained for the formation energy is -2.308 eV/atom. The calculated density comes out at 4.64 g cm⁻³. For the volume, the calculation gives 226 Å³/cell.

Geometry as CIF:
```
data_V4O7
_space_group_name_H-M_alt 'P -1'
_space_group_IT_number 2
_cell_length_a 6.1126
_cell_length_b 6.1655
_cell_length_c 6.4415
_cell_angle_alpha 69.73
_cell_angle_beta 87.06
_cell_angle_gamma 82.86
loop_
_space_group_symop_operation_xyz
'x,y,z'
'-x,-y,-z'
loop_
_atom_site_label
_atom_site_type_symbol
_atom_site_fract_x
_atom_site_fract_y
_atom_site_fract_z
_atom_site_occupancy
V1 V 0.0862 0.2455 0.4854 1
V2 V 0.1421 0.3188 0.9137 1
V3 V 0.3658 0.8010 0.7059 1
V4 V 0.3800 0.8074 0.2266 1
O1 O 0.0533 0.6722 0.8422 1
O2 O 0.1130 0.5928 0.3143 1
O3 O 0.1719 0.0618 0.8365 1
O4 O 0.1833 0.9205 0.4437 1
O5 O 0.3978 0.4816 0.7600 1
O6 O 0.4200 0.1971 0.5232 1
O7 O 0.4251 0.1527 0.0996 1
```